No. 1
Here is an optimized crystal structure of BN from Materials Project. Energies are from PBE.

Summary:
Energy of formation from the pure elements ... -1.46 eV per atom
Corrected total energy (MP2020 scheme) ... -17.93 eV/f.u.
Excess energy over the best structure of this formula in the dataset ... 0.6 kJ per mole of atoms
Space group ... Fmm2, No. 42
V ... 19 Å³/f.u.
Piezoelectric modulus e_max ... 0.7 C/m²

Unit cell a=4.121 b=2.513 c=3.717 alpha=80.29 beta=36.94 gamma=62.77
Element x y z (fractional)
B1 0.000 0.000 0.000
N1 0.666 0.666 0.334

---

No. 2
Here is an optimized crystal structure of BN from Materials Project. Energies are from PBE.

Summary:
Energy of formation from the pure elements ... -1.16 eV per atom
Corrected total energy (MP2020 scheme) ... -17.34 eV/f.u.
Excess energy over the best structure of this formula in the dataset ... 29.1 kJ per mole of atoms
Space group ... Imm2, No. 44
V ... 13 Å³/f.u.

Unit cell a=4.306 b=4.306 c=4.306 alpha=143.93 beta=71.16 gamma=120.98
Element x y z (fractional)
B1 0.000 0.000 0.000
B2 0.282 0.475 0.807
B3 0.667 0.475 0.193
N1 0.035 0.843 0.192
N2 0.328 0.328 0.000
N3 0.652 0.843 0.808